Material: Li2MgGeO4
Method: DFT, GGA-PBE
State: relaxed

abc: 5.1744 6.4753 11.0731
angles: 90.00 90.00 90.00
With the nearest neighbours (Å) after each atom.
Positions (direct):
O  0.2052  0.7467  0.4337  1 Ge 1.77, 1 Mg 1.98, 1 Li 1.98
O  0.7068  0.0250  0.8372  1 Ge 1.78, 1 Mg 1.97
O  0.1618  0.2539  0.9104  1 Ge 1.79, 1 Mg 1.96, 2 Li 1.97-1.99
O  0.2025  0.9736  0.6614  1 Ge 1.78
O  0.7052  0.2467  0.0663  1 Ge 1.77, 1 Mg 1.98, 1 Li 1.98
O  0.7932  0.0250  0.3372  1 Ge 1.78, 1 Mg 1.97
O  0.6618  0.7539  0.5896  1 Ge 1.79, 1 Mg 1.96, 2 Li 1.97-1.99
O  0.8382  0.7539  0.0896  1 Ge 1.79, 1 Mg 1.96, 2 Li 1.97-1.99
O  0.2975  0.9736  0.1614  1 Ge 1.78
O  0.3382  0.2539  0.4104  1 Ge 1.79, 1 Mg 1.96, 2 Li 1.97-1.99
O  0.2068  0.5250  0.6628  1 Ge 1.78, 1 Mg 1.97
O  0.7975  0.4736  0.3386  1 Ge 1.78
O  0.2932  0.5250  0.1628  1 Ge 1.78, 1 Mg 1.97
O  0.7025  0.4736  0.8386  1 Ge 1.78
O  0.2948  0.7467  0.9337  1 Ge 1.77, 1 Mg 1.98, 1 Li 1.98
O  0.7948  0.2467  0.5663  1 Ge 1.77, 1 Mg 1.98, 1 Li 1.98
Ge  0.3164  0.7492  0.5847  4 O 1.77-1.79
Ge  0.8164  0.2492  0.9153  4 O 1.77-1.79
Ge  0.1836  0.7492  0.0847  4 O 1.77-1.79
Ge  0.6836  0.2492  0.4153  4 O 1.77-1.79
Mg  0.8160  0.9966  0.6679  4 O 1.96-2.01
Mg  0.1840  0.4966  0.3321  4 O 1.96-2.01
Mg  0.3160  0.4966  0.8321  4 O 1.96-2.01
Mg  0.6840  0.9966  0.1679  4 O 1.96-2.01
Li  0.1857  0.0014  0.3359  4 O 1.98-2.04
Li  0.6937  0.7536  0.9251  4 O 1.97-2.07
Li  0.6857  0.5014  0.1641  4 O 1.98-2.04
Li  0.3063  0.2536  0.0749  4 O 1.97-2.07
Li  0.1937  0.2536  0.5749  4 O 1.97-2.07
Li  0.8143  0.5014  0.6641  4 O 1.98-2.04
Li  0.8063  0.7536  0.4251  4 O 1.97-2.07
Li  0.3143  0.0014  0.8359  4 O 1.98-2.04

- DFT total energy (eV per atom) = -5.911
- magnetization (μB per formula unit) = 0.000
- ΔH_f (0 K) (eV/atom) = -2.525
- space group = No. 33

=====

Material: Na3ScSiGeP2O12
Method: DFT, GGA-PBE
State: relaxed

abc: 8.8994 8.8994 21.8395
angles: 90.63 89.37 119.98
With the nearest neighbours (Å) after each atom.
Positions (direct):
O  0.1710  0.0295  0.5898  1 Si 1.66
O  0.3406  0.4778  0.0792  1 P 1.53
O  0.1720  0.2156  0.6906  1 P 1.57
O  0.5222  0.6594  0.5792  1 P 1.53
O  0.1340  0.4592  0.9776  1 P 1.52
O  0.0477  0.8333  0.6930  1 P 1.58
O  0.6444  0.1302  0.1363  1 P 1.52
O  0.8001  0.9924  0.4113  1 P 1.53
O  0.9705  0.8290  0.0898  1 Si 1.66
O  0.5303  0.1596  0.9248  1 Si 1.67
O  0.8071  0.0066  0.8137  1 Si 1.59
O  0.8471  0.8127  0.5870  1 P 1.58
O  0.1370  0.4742  0.5765  1 P 1.53
O  0.0133  0.8265  0.4140  1 Si 1.61
O  0.1430  0.5112  0.8626  1 P 1.57
O  0.4711  0.3356  0.7430  1 P 1.55
O  0.9546  0.1458  0.5881  1 P 1.57
O  0.4888  0.8570  0.3626  1 P 1.57
O  0.7128  0.1620  0.0225  1 P 1.58
O  0.2995  0.8179  0.2553  1 P 1.57
O  0.8404  0.4697  0.4248  1 Si 1.67
O  0.2020  0.0086  0.3087  1 P 1.52
O  0.7088  0.5365  0.5293  1 P 1.58
O  0.3167  0.8562  0.9792  1 Si 1.61
O  0.6339  0.4844  0.9194  1 P 1.56
O  0.6674  0.1525  0.7486  1 Si 1.62
O  0.1873  0.1529  0.0870  1 P 1.58
O  0.4837  0.1333  0.6438  1 Si 1.60
O  0.9934  0.1929  0.3137  1 Si 1.59
O  0.0387  0.1959  0.1910  1 Si 1.69, 1 Ge 1.87
O  0.1735  0.9867  0.9140  1 Si 1.61
O  0.5255  0.6769  0.9679  1 P 1.50
O  0.5201  0.7084  0.2567  1 P 1.56
O  0.6599  0.5342  0.6446  1 P 1.51
O  0.5142  0.6278  0.8531  1 P 1.58
O  0.1224  0.6149  0.3575  1 Si 1.70, 1 Ge 1.89
O  0.1928  0.4887  0.2529  1 Si 1.69
O  0.2077  0.1827  0.8037  1 P 1.51
O  0.1821  0.7005  0.7553  1 P 1.57
O  0.8667  0.5163  0.1438  1 Si 1.60
O  0.1906  0.1977  0.4118  1 P 1.55
O  0.1667  0.9523  0.1930  1 P 1.58
O  0.3231  0.4745  0.4679  1 P 1.50
O  0.3851  0.8776  0.8575  1 Si 1.70, 1 Ge 1.89
O  0.3414  0.8551  0.5802  1 Si 1.64
O  0.7844  0.8280  0.1906  1 P 1.57
O  0.4658  0.3401  0.1446  1 P 1.51
O  0.8023  0.8094  0.9118  1 P 1.55
O  0.8380  0.2872  0.5225  1 P 1.58
O  0.2916  0.4799  0.7567  1 P 1.56
O  0.4637  0.1696  0.5213  1 Si 1.68, 1 Ge 1.86
O  0.8507  0.5365  0.7452  1 P 1.53
O  0.4635  0.2912  0.0293  1 P 1.58
O  0.4635  0.1493  0.2452  1 P 1.53
O  0.0076  0.1999  0.9113  1 P 1.53
O  0.5258  0.8630  0.0765  1 P 1.53
O  0.8698  0.3556  0.6363  1 P 1.52
O  0.5408  0.8660  0.4776  1 P 1.52
O  0.8475  0.3326  0.2486  1 Si 1.62
O  0.6222  0.1392  0.4175  1 P 1.58
O  0.1449  0.6586  0.0802  1 Si 1.64
O  0.1438  0.6833  0.4792  1 Si 1.61
O  0.8542  0.0454  0.0881  1 P 1.57
O  0.8608  0.3778  0.9175  1 P 1.58
O  0.9914  0.7980  0.8087  1 P 1.52
O  0.5113  0.8072  0.7529  1 Si 1.69
O  0.8304  0.5363  0.0213  1 Si 1.68, 1 Ge 1.86
O  0.8173  0.7923  0.3037  1 P 1.51
O  0.6644  0.5289  0.2430  1 P 1.55
O  0.5156  0.3661  0.4194  1 P 1.56
O  0.3722  0.4858  0.3531  1 P 1.58
O  0.8041  0.9613  0.6910  1 Si 1.69, 1 Ge 1.87
P  0.9526  0.3198  0.5812  4 O 1.52-1.58
P  0.6139  0.9581  0.4172  4 O 1.52-1.58
P  0.6167  0.6502  0.9141  4 O 1.50-1.58
P  0.0419  0.3861  0.9172  4 O 1.52-1.58
P  0.3705  0.3234  0.0857  4 O 1.51-1.58
P  0.6982  0.7165  0.2492  4 O 1.51-1.57
P  0.0139  0.7142  0.7508  4 O 1.52-1.58
P  0.2835  0.3018  0.7492  4 O 1.51-1.57
P  0.3498  0.3833  0.4141  4 O 1.50-1.58
P  0.6802  0.0474  0.0812  4 O 1.52-1.58
P  0.2858  0.9861  0.2508  4 O 1.52-1.58
P  0.6766  0.6295  0.5857  4 O 1.51-1.58
Ge  0.0062  0.0113  0.6480  5 O 1.87-2.06
Ge  0.6626  0.3389  0.9808  5 O 1.86-2.06
Ge  0.6611  0.3374  0.4808  5 O 1.86-2.06
Ge  0.9887  0.9938  0.1480  5 O 1.87-2.06
Ge  0.3423  0.6752  0.8144  6 O 1.89-2.03
Ge  0.3248  0.6577  0.3144  6 O 1.89-2.03
Na  0.3160  0.6393  0.6659  6 O 2.39-2.62
Na  0.0354  0.3481  0.0857  4 O 2.35-2.54
Na  0.9942  0.6322  0.2479  3 O 2.31-2.52
Na  0.6722  0.3290  0.3329  5 O 2.39-2.59
Na  0.6998  0.0272  0.9124  4 O 2.34-2.52
Na  0.3223  0.0237  0.4192  4 O 2.33-2.57
Na  0.9728  0.3002  0.4124  4 O 2.34-2.52
Na  0.3629  0.3578  0.2480  5 O 2.33-2.53
Na  0.6422  0.6371  0.7480  5 O 2.33-2.53
Na  0.6519  0.9646  0.5857  4 O 2.35-2.54
Na  0.3607  0.6840  0.1659  6 O 2.39-2.62
Na  0.0083  0.0035  0.9994  6 O 2.41-2.62
Na  0.3016  0.9638  0.0815  5 O 2.35-2.57
Na  0.9763  0.6777  0.9192  4 O 2.33-2.57
Na  0.0362  0.6984  0.5815  5 O 2.35-2.57
Na  0.3678  0.0058  0.7479  3 O 2.31-2.52
Na  0.9965  0.9917  0.4994  6 O 2.41-2.62
Na  0.6710  0.3278  0.8329  5 O 2.39-2.59
Sc  0.6705  0.3297  0.1879  6 O 1.96-2.16
Sc  0.3314  0.6660  0.5203  6 O 1.98-2.17
Sc  0.0089  0.0098  0.8539  6 O 1.99-2.21
Sc  0.6703  0.3295  0.6879  6 O 1.96-2.16
Sc  0.3340  0.6686  0.0203  6 O 1.98-2.17
Sc  0.9902  0.9911  0.3539  6 O 1.99-2.21
Si  0.3673  0.0509  0.5842  4 O 1.60-1.68
Si  0.0070  0.2945  0.2523  4 O 1.59-1.69
Si  0.9491  0.6327  0.0842  4 O 1.60-1.68
Si  0.7055  0.9930  0.7523  4 O 1.59-1.69
Si  0.3456  0.9708  0.9193  4 O 1.61-1.70
Si  0.0292  0.6544  0.4193  4 O 1.61-1.70

- DFT total energy (eV per atom) = -6.880
- magnetization (μB per formula unit) = 0.000
- ΔH_f (0 K) (eV/atom) = -2.765
- space group = No. 9
- energy relative to the lowest polymorph listed for this composition (meV/atom) = 0

=====

Material: Ba2LaI7
Method: DFT, GGA-PBE
State: relaxed

abc: 12.3957 10.0133 18.6122
angles: 58.73 90.00 90.00
With the nearest neighbours (Å) after each atom.
Positions (direct):
I  0.5748  0.4216  0.8480  3 Ba 3.38-3.63
I  0.8728  0.9322  0.2070  1 La 3.32, 1 Ba 3.62
I  0.9252  0.4216  0.3480  3 Ba 3.38-3.63
I  0.4252  0.5784  0.1520  3 Ba 3.38-3.63
I  0.9451  0.9742  0.6606  1 La 3.27, 2 Ba 3.42-3.54
I  0.0748  0.5784  0.6520  3 Ba 3.38-3.63
I  0.2729  0.1071  0.0109  1 La 3.25, 1 Ba 3.61
I  0.3652  0.3619  0.5991  1 La 3.22, 1 Ba 3.55
I  0.9332  0.2545  0.8773  1 La 3.29, 2 Ba 3.43-3.66
I  0.6348  0.6381  0.4009  1 La 3.22, 1 Ba 3.55
I  0.0549  0.0258  0.3394  1 La 3.27, 2 Ba 3.42-3.54
I  0.2271  0.1071  0.5109  1 La 3.25, 1 Ba 3.61
I  0.0668  0.7455  0.1227  1 La 3.29, 2 Ba 3.43-3.66
I  0.8652  0.6381  0.9009  1 La 3.22, 1 Ba 3.55
I  0.2441  0.6708  0.3280  1 La 3.19, 2 Ba 3.52-3.56
I  0.7271  0.8929  0.9891  1 La 3.25, 1 Ba 3.61
I  0.6272  0.9322  0.7070  1 La 3.32, 1 Ba 3.62
I  0.7559  0.3292  0.6720  1 La 3.19, 2 Ba 3.52-3.56
I  0.3728  0.0678  0.2930  1 La 3.32, 1 Ba 3.62
I  0.7729  0.8929  0.4891  1 La 3.25, 1 Ba 3.61
I  0.2559  0.6708  0.8280  1 La 3.19, 2 Ba 3.52-3.56
I  0.4451  0.0258  0.8394  1 La 3.27, 2 Ba 3.42-3.54
I  0.5549  0.9742  0.1606  1 La 3.27, 2 Ba 3.42-3.54
I  0.4332  0.7455  0.6227  1 La 3.29, 2 Ba 3.43-3.66
I  0.1272  0.0678  0.7930  1 La 3.32, 1 Ba 3.62
I  0.5668  0.2545  0.3773  1 La 3.29, 2 Ba 3.43-3.66
I  0.7441  0.3292  0.1720  1 La 3.19, 2 Ba 3.52-3.56
I  0.1348  0.3619  0.0991  1 La 3.22, 1 Ba 3.55
Ba  0.7608  0.2246  0.5162  6 I 3.38-3.62
Ba  0.6918  0.6224  0.2183  8 I 3.52-3.74
Ba  0.1918  0.3776  0.2817  8 I 3.52-3.74
Ba  0.7392  0.2246  0.0162  6 I 3.38-3.62
Ba  0.2608  0.7754  0.9838  6 I 3.38-3.62
Ba  0.2392  0.7754  0.4838  6 I 3.38-3.62
Ba  0.3082  0.3776  0.7817  8 I 3.52-3.74
Ba  0.8082  0.6224  0.7183  8 I 3.52-3.74
La  0.8622  0.0116  0.8162  6 I 3.19-3.32
La  0.1378  0.9884  0.1838  6 I 3.19-3.32
La  0.3622  0.9884  0.6838  6 I 3.19-3.32
La  0.6378  0.0116  0.3162  6 I 3.19-3.32

- DFT total energy (eV per atom) = -3.587
- magnetization (μB per formula unit) = 0.002
- ΔH_f (0 K) (eV/atom) = -1.909
- space group = No. 14
- energy relative to the lowest polymorph listed for this composition (meV/atom) = 29

=====

Material: ErCu5
Method: DFT, GGA-PBE
State: relaxed

abc: 4.9447 4.9447 4.9447
angles: 60.00 60.00 60.00
With the nearest neighbours (Å) after each atom.
Positions (direct):
Er  0.0000  0.0000  0.0000  16 Cu 2.90-3.03
Cu  0.6241  0.6241  0.1278  6 Cu 2.45-2.49
Cu  0.1278  0.6241  0.6241  6 Cu 2.45-2.49
Cu  0.6241  0.6241  0.6241  6 Cu 2.45-2.49
Cu  0.2500  0.2500  0.2500  12 Cu 2.90, 4 Er 3.03
Cu  0.6241  0.1278  0.6241  6 Cu 2.45-2.49

- DFT total energy (eV per atom) = -4.372
- ΔH_f (0 K) (eV/atom) = -0.195
- space group = No. 216

=====

Material: Mg6NbCdO8
Method: DFT, GGA-PBE
State: relaxed

abc: 8.7980 4.4452 4.4452
angles: 90.00 90.00 90.00
With the nearest neighbours (Å) after each atom.
Positions (direct):
O  0.2695  0.5000  0.5000  5 Mg 2.03-2.22
O  0.7305  0.5000  0.5000  5 Mg 2.03-2.22
O  0.7392  0.0000  0.0000  5 Mg 2.10-2.22, 1 Nb 2.29
O  0.5000  0.0000  0.5000  6 Mg 2.10-2.22
O  0.5000  0.5000  0.0000  6 Mg 2.10-2.22
O  0.2608  0.0000  0.0000  5 Mg 2.10-2.22, 1 Nb 2.29
O  0.0000  0.5000  0.0000  2 Cd 2.22, 2 Nb 2.22, 2 Mg 2.30
O  0.0000  0.0000  0.5000  2 Cd 2.22, 2 Nb 2.22, 2 Mg 2.30
Mg  0.7382  0.0000  0.5000  6 O 2.10-2.30
Mg  0.5000  0.5000  0.5000  6 O 2.03-2.22
Mg  0.2618  0.5000  0.0000  6 O 2.10-2.30
Mg  0.5000  0.0000  0.0000  6 O 2.10-2.22
Mg  0.2618  0.0000  0.5000  6 O 2.10-2.30
Mg  0.7382  0.5000  0.0000  6 O 2.10-2.30
Cd  0.0000  0.5000  0.5000  6 O 2.22-2.37
Nb  0.0000  0.0000  0.0000  6 O 2.22-2.29

- DFT total energy (eV per atom) = -5.921
- magnetization (μB per formula unit) = 2.768
- ΔH_f (0 K) (eV/atom) = -2.501
- space group = No. 123
- energy relative to the lowest polymorph listed for this composition (meV/atom) = 0